{"formula": "U2AuF11", "functional": "PBE", "state": "optimized geometry", "lattice_angstrom": [[-1.779, 1.804, 8.177], [-1.672, 3.524, -7.620], [-4.954, -6.937, -0.789]], "species": ["U", "U", "U", "U", "Au", "Au", "F", "F", "F", "F", "F", "F", "F", "F", "F", "F", "F", "F", "F", "F", "F", "F", "F", "F", "F", "F", "F", "F"], "fractional_positions": [[0.645, 0.145, 0.789], [0.855, 0.645, 0.500], [0.145, 0.355, 0.500], [0.355, 0.855, 0.211], [0.500, 0.500, 0.000], [0.000, 0.000, 0.000], [0.428, 0.750, 0.678], [0.669, 0.597, 0.267], [0.331, 0.403, 0.733], [0.000, 0.500, 0.500], [0.072, 0.750, 0.322], [0.403, 0.669, 0.072], [0.903, 0.831, 0.733], [0.572, 0.250, 0.322], [0.097, 0.169, 0.267], [0.831, 0.097, 0.928], [0.250, 0.572, 0.322], [0.928, 0.250, 0.678], [0.250, 0.928, 0.678], [0.000, 0.000, 0.500], [0.500, 0.500, 0.500], [0.750, 0.428, 0.678], [0.169, 0.903, 0.072], [0.500, 0.000, 0.000], [0.750, 0.072, 0.322], [0.597, 0.331, 0.928], [0.500, 0.000, 0.500], [0.000, 0.500, 0.000]], "spacegroup": "I4/mcm", "e_form_ev_per_atom": -3.279, "m_tot_mub_per_fu": 2.001, "final_energy_ev_per_atom": -6.27}

=====

{"formula": "ZnAu2F8", "functional": "PBE", "state": "optimized geometry", "lattice_angstrom": [[5.774, 0.000, 0.000], [0.000, 5.640, 0.000], [0.000, 3.768, 10.467]], "species": ["Zn", "Zn", "Au", "Au", "Au", "Au", "F", "F", "F", "F", "F", "F", "F", "F", "F", "F", "F", "F", "F", "F", "F", "F"], "fractional_positions": [[0.500, 0.500, 0.000], [0.000, 0.500, 0.500], [0.721, 0.867, 0.670], [0.221, 0.133, 0.830], [0.279, 0.133, 0.330], [0.779, 0.867, 0.170], [0.624, 0.568, 0.815], [0.124, 0.432, 0.685], [0.376, 0.432, 0.185], [0.876, 0.568, 0.315], [0.687, 0.170, 0.026], [0.187, 0.830, 0.474], [0.779, 0.662, 0.054], [0.279, 0.338, 0.446], [0.221, 0.338, 0.946], [0.721, 0.662, 0.554], [0.785, 0.066, 0.281], [0.285, 0.934, 0.219], [0.215, 0.934, 0.719], [0.715, 0.066, 0.781], [0.813, 0.170, 0.526], [0.313, 0.830, 0.974]], "spacegroup": "P2_1/c", "e_form_ev_per_atom": -1.697, "final_energy_ev_per_atom": -3.46}

=====

{"formula": "FeAu", "functional": "PBE", "state": "optimized geometry", "lattice_angstrom": [[4.543, -1.412, 0.000], [4.543, 1.412, 0.000], [4.104, 0.000, 2.406]], "species": ["Fe", "Au"], "fractional_positions": [[0.500, 0.500, 0.500], [0.000, 0.000, 0.000]], "spacegroup": "R-3m", "e_form_ev_per_atom": 0.251, "m_tot_mub_per_fu": 2.882, "final_energy_ev_per_atom": -5.62}

=====

{"formula": "Fe3Au", "functional": "PBE", "state": "optimized geometry", "lattice_angstrom": [[-0.358, 5.380, -0.221], [-3.481, -2.814, 3.013], [2.657, 0.315, 3.364]], "species": ["Fe", "Fe", "Fe", "Fe", "Fe", "Fe", "Au", "Au"], "fractional_positions": [[0.155, 0.310, 0.250], [0.690, 0.845, 0.250], [0.155, 0.845, 0.250], [0.845, 0.690, 0.750], [0.310, 0.155, 0.750], [0.845, 0.155, 0.750], [0.333, 0.667, 0.750], [0.667, 0.333, 0.250]], "spacegroup": "P6_3/mmc", "e_form_ev_per_atom": 0.154, "m_tot_mub_per_fu": 7.847, "final_energy_ev_per_atom": -7.02}

=====

{"formula": "Fe3Au", "functional": "PBE", "state": "optimized geometry", "lattice_angstrom": [[-3.020, -3.293, -1.387], [-2.794, -1.293, 3.523], [1.169, 4.177, -1.755]], "species": ["Fe", "Fe", "Fe", "Au"], "fractional_positions": [[0.750, 0.250, 0.500], [0.250, 0.750, 0.500], [0.500, 0.500, 0.000], [0.000, 0.000, 0.000]], "spacegroup": "I4/mmm", "e_form_ev_per_atom": 0.142, "m_tot_mub_per_fu": 7.966, "final_energy_ev_per_atom": -7.03}

=====

{"formula": "FeAu3", "functional": "PBE", "state": "optimized geometry", "lattice_angstrom": [[-0.283, -0.544, 4.545], [-4.088, 0.124, 2.074], [-1.805, -3.839, 1.742]], "species": ["Fe", "Au", "Au", "Au"], "fractional_positions": [[0.500, 0.500, 0.500], [0.750, 0.750, 0.750], [0.250, 0.250, 0.250], [0.000, 0.000, 0.000]], "spacegroup": "Fm-3m", "e_form_ev_per_atom": 0.154, "m_tot_mub_per_fu": 3.110, "final_energy_ev_per_atom": -4.42}

=====

{"formula": "Nd6Fe13Au", "functional": "PBE", "state": "optimized geometry", "lattice_angstrom": [[8.038, 0.000, 0.000], [0.000, 8.038, 0.000], [-4.019, -4.019, 11.517]], "species": ["Nd", "Nd", "Nd", "Nd", "Nd", "Nd", "Nd", "Nd", "Nd", "Nd", "Nd", "Nd", "Fe", "Fe", "Fe", "Fe", "Fe", "Fe", "Fe", "Fe", "Fe", "Fe", "Fe", "Fe", "Fe", "Fe", "Fe", "Fe", "Fe", "Fe", "Fe", "Fe", "Fe", "Fe", "Fe", "Fe", "Fe", "Fe", "Au", "Au"], "fractional_positions": [[0.977, 0.477, 0.625], [0.649, 0.149, 0.625], [0.149, 0.977, 0.625], [0.477, 0.649, 0.625], [0.023, 0.523, 0.375], [0.351, 0.851, 0.375], [0.851, 0.023, 0.375], [0.523, 0.351, 0.375], [0.607, 0.607, 0.214], [0.107, 0.107, 0.214], [0.393, 0.393, 0.786], [0.893, 0.893, 0.786], [0.119, 0.619, 0.881], [0.762, 0.262, 0.881], [0.262, 0.119, 0.881], [0.619, 0.762, 0.881], [0.881, 0.381, 0.119], [0.238, 0.738, 0.119], [0.738, 0.881, 0.119], [0.381, 0.238, 0.119], [0.710, 0.567, 0.000], [0.290, 0.433, 0.000], [0.790, 0.067, 0.000], [0.210, 0.933, 0.000], [0.567, 0.290, 0.000], [0.433, 0.710, 0.000], [0.067, 0.210, 0.000], [0.933, 0.790, 0.000], [0.290, 0.790, 0.808], [0.518, 0.018, 0.808], [0.018, 0.290, 0.808], [0.790, 0.518, 0.808], [0.710, 0.210, 0.192], [0.482, 0.982, 0.192], [0.982, 0.710, 0.192], [0.210, 0.482, 0.192], [0.000, 0.500, 0.000], [0.500, 0.000, 0.000], [0.250, 0.250, 0.500], [0.750, 0.750, 0.500]], "spacegroup": "I4/mcm", "e_form_ev_per_atom": -0.073, "m_tot_mub_per_fu": 26.183, "final_energy_ev_per_atom": -7.17}

=====

{"formula": "Ga2Au7", "functional": "PBE", "state": "optimized geometry", "lattice_angstrom": [[3.920, -6.790, 0.000], [3.920, 6.790, 0.000], [0.000, 0.000, 9.021]], "species": ["Ga", "Ga", "Ga", "Ga", "Ga", "Ga", "Au", "Au", "Au", "Au", "Au", "Au", "Au", "Au", "Au", "Au", "Au", "Au", "Au", "Au", "Au", "Au", "Au", "Au", "Au", "Au", "Au"], "fractional_positions": [[0.333, 0.667, 0.177], [0.000, 0.000, 0.690], [0.333, 0.667, 0.823], [0.667, 0.333, 0.823], [0.667, 0.333, 0.177], [0.000, 0.000, 0.310], [0.000, 0.361, 0.331], [0.686, 0.000, 0.831], [0.000, 0.723, 0.500], [0.000, 0.686, 0.831], [0.314, 0.314, 0.169], [0.277, 0.277, 0.500], [0.000, 0.686, 0.169], [0.723, 0.000, 0.500], [0.361, 0.000, 0.331], [0.639, 0.639, 0.669], [0.368, 0.000, 0.000], [0.667, 0.333, 0.500], [0.361, 0.000, 0.669], [0.000, 0.000, 0.000], [0.314, 0.314, 0.831], [0.632, 0.632, 0.000], [0.686, 0.000, 0.169], [0.639, 0.639, 0.331], [0.000, 0.368, 0.000], [0.333, 0.667, 0.500], [0.000, 0.361, 0.669]], "spacegroup": "P-62m", "e_form_ev_per_atom": -0.094, "final_energy_ev_per_atom": -3.31}

=====

{"formula": "Ga2Au", "functional": "PBE", "state": "optimized geometry", "lattice_angstrom": [[-3.114, -3.114, 0.000], [-3.114, 0.000, -3.114], [0.000, -3.114, -3.114]], "species": ["Ga", "Ga", "Au"], "fractional_positions": [[0.750, 0.750, 0.750], [0.250, 0.250, 0.250], [0.000, 0.000, 0.000]], "spacegroup": "Fm-3m", "e_form_ev_per_atom": -0.238, "final_energy_ev_per_atom": -3.35}

=====

{"formula": "Ga2Au", "functional": "PBE", "state": "optimized geometry", "lattice_angstrom": [[-0.369, 3.422, 1.211], [-7.085, -1.187, 1.195], [1.759, -2.590, 7.853]], "species": ["Ga", "Ga", "Ga", "Ga", "Ga", "Ga", "Ga", "Ga", "Au", "Au", "Au", "Au"], "fractional_positions": [[0.250, 0.876, 0.440], [0.250, 0.376, 0.060], [0.750, 0.124, 0.560], [0.750, 0.624, 0.940], [0.250, 0.446, 0.642], [0.250, 0.946, 0.858], [0.750, 0.554, 0.358], [0.750, 0.054, 0.142], [0.250, 0.251, 0.348], [0.250, 0.751, 0.152], [0.750, 0.749, 0.652], [0.750, 0.249, 0.848]], "spacegroup": "Pnma", "e_form_ev_per_atom": -0.140, "m_tot_mub_per_fu": 0.000, "final_energy_ev_per_atom": -3.25}

=====

{"formula": "Ga2Au", "functional": "PBE", "state": "optimized geometry", "lattice_angstrom": [[-2.850, 8.937, -2.613], [-1.324, 0.466, 3.038], [5.272, 2.760, 3.688]], "species": ["Ga", "Ga", "Ga", "Ga", "Ga", "Ga", "Ga", "Ga", "Au", "Au", "Au", "Au"], "fractional_positions": [[0.874, 0.994, 0.408], [0.374, 0.006, 0.092], [0.126, 0.006, 0.592], [0.626, 0.994, 0.908], [0.126, 0.351, 0.940], [0.626, 0.649, 0.560], [0.874, 0.649, 0.060], [0.374, 0.351, 0.440], [0.879, 0.318, 0.739], [0.379, 0.682, 0.761], [0.121, 0.682, 0.261], [0.621, 0.318, 0.239]], "spacegroup": "P2_1/c", "e_form_ev_per_atom": -0.102, "m_tot_mub_per_fu": 0.000, "final_energy_ev_per_atom": -3.21}

=====

{"formula": "GaAu2", "functional": "PBE", "state": "optimized geometry", "lattice_angstrom": [[3.850, 4.731, 6.903], [-6.204, -2.345, -6.392], [-3.202, -4.150, 4.631]], "species": ["Ga", "Ga", "Ga", "Ga", "Au", "Au", "Au", "Au", "Au", "Au", "Au", "Au"], "fractional_positions": [[0.709, 0.291, 0.728], [0.291, 0.709, 0.228], [0.941, 0.059, 0.693], [0.059, 0.941, 0.193], [0.086, 0.914, 0.821], [0.914, 0.086, 0.321], [0.170, 0.830, 0.451], [0.830, 0.170, 0.951], [0.677, 0.323, 0.097], [0.323, 0.677, 0.597], [0.535, 0.465, 0.499], [0.465, 0.535, 0.999]], "spacegroup": "Cmc2_1", "e_form_ev_per_atom": -0.134, "final_energy_ev_per_atom": -3.33}